1.
! PBE with a Hubbard U Na5Ni2P2C2O14, relaxed; values from VASP
! Calculated formation energy: -2.1606 eV per atom
! VASP energy: -156.04 eV/f.u.
&SYSTEM
  ibrav = 0, nat = 50, ntyp = 5
/
ATOMIC_SPECIES
Na 22.99 Na.upf
Ni 58.69 Ni.upf
P 30.97 P.upf
C 12.01 C.upf
O 16.00 O.upf
CELL_PARAMETERS angstrom
6.627 0.000 0.000
0.000 10.251 0.000
0.000 5.083 9.119
ATOMIC_POSITIONS angstrom
Na 3.222 12.635 9.083
Na 0.091 12.635 9.083
Na 6.536 2.699 0.037
Na 3.405 2.699 0.037
Na 4.970 5.002 7.429
Na 1.657 10.332 1.690
Na 0.037 10.231 4.654
Na 3.277 10.231 4.654
Na 6.591 5.103 4.466
Na 3.350 5.103 4.466
Ni 4.970 10.788 7.456
Ni 1.657 4.546 1.664
Ni 4.970 8.269 2.871
Ni 1.657 7.065 6.248
P 1.657 10.079 7.441
P 4.970 5.255 1.679
P 1.657 7.558 2.896
P 4.970 7.776 6.224
C 1.657 5.094 7.864
C 1.657 2.513 3.186
C 4.970 10.240 1.256
C 4.970 12.821 5.934
O 4.970 12.870 7.247
O 0.408 11.000 7.350
O 2.905 11.000 7.350
O 4.970 6.064 0.356
O 1.657 6.564 1.677
O 4.970 8.770 7.443
O 1.657 9.270 8.764
O 6.219 4.334 1.769
O 3.722 4.334 1.769
O 1.657 6.317 8.333
O 1.657 3.703 3.698
O 1.657 2.464 1.872
O 4.970 0.995 0.461
O 4.970 3.652 5.266
O 1.657 14.339 8.658
O 1.657 11.682 3.853
O 4.970 10.357 2.548
O 4.970 9.017 0.786
O 4.970 11.631 5.422
O 0.421 8.505 2.775
O 2.892 8.505 2.775
O 4.970 8.601 4.913
O 1.657 9.088 6.222
O 4.970 6.246 2.898
O 1.657 6.734 4.206
O 3.735 6.829 6.344
O 6.206 6.829 6.344
O 1.657 4.977 6.572



2.
! PBE with a Hubbard U Na2NiCSO7, relaxed; values from VASP
! Calculated formation energy: -1.9441 eV per atom
! VASP energy: -72.40 eV/f.u.
&SYSTEM
  ibrav = 0, nat = 48, ntyp = 5
/
ATOMIC_SPECIES
Na 22.99 Na.upf
Ni 58.69 Ni.upf
C 12.01 C.upf
S 32.06 S.upf
O 16.00 O.upf
CELL_PARAMETERS angstrom
-1.483 4.979 0.800
-10.232 -2.048 -4.105
-0.401 -2.223 10.983
ATOMIC_POSITIONS angstrom
Na -6.698 -0.962 2.001
Na -1.782 -1.050 9.545
Na -4.065 0.095 0.298
Na -9.381 -2.040 3.737
Na -8.050 0.614 7.380
Na -2.734 2.749 3.941
Na -5.418 1.672 5.677
Na -10.333 1.759 -1.867
Ni -1.967 2.214 8.073
Ni -10.149 -1.505 -0.393
Ni -6.882 2.300 0.526
Ni -5.234 -1.591 7.152
C -5.474 2.003 2.520
C -10.790 -0.132 5.959
C -6.642 -1.294 5.159
C -1.326 0.841 1.719
S -4.885 0.885 9.227
S -9.801 0.972 1.683
S -7.231 -0.176 -1.549
S -2.315 -0.263 5.996
O -2.053 1.015 0.702
O -7.369 -1.120 4.142
O -10.062 -0.306 6.977
O -4.746 1.829 3.537
O -6.097 3.128 2.255
O -11.412 0.993 5.696
O -6.018 -2.418 5.424
O -0.703 -0.284 1.983
O -5.680 1.060 1.615
O -10.996 -1.075 5.056
O -6.436 -0.351 6.063
O -1.120 1.784 2.623
O -6.324 -0.780 -0.522
O -1.409 -0.867 7.022
O -5.791 1.489 8.201
O -10.707 1.576 0.656
O -4.572 -0.534 8.831
O -9.488 -0.448 1.286
O -7.544 1.243 -1.153
O -2.627 1.157 6.393
O -3.626 1.667 9.322
O -8.542 1.754 1.776
O -5.140 3.122 -0.424
O -10.456 0.987 3.015
O -6.976 -2.413 8.102
O -1.659 -0.278 4.663
O -8.490 -0.958 -1.643
O -3.574 -1.045 5.902